1.
r2SCAN PPbSe3, relaxed; spin magnetization = 0.00 μB per cell; space group = P2_1/c; formation energy from the elements = -0.41 eV/atom; E_tot = -441.1 eV/cell
1.0
7.755 0.000 0.000
0.000 7.041 0.012
0.000 6.736 9.828
Pb Se P
4 12 4
Direct
0.883 0.284 0.251
0.617 0.284 0.751
0.117 0.716 0.749
0.383 0.716 0.249
0.700 0.773 0.044
0.200 0.227 0.456
0.194 0.604 0.058
0.999 0.126 0.764
0.694 0.396 0.442
0.800 0.773 0.544
0.499 0.874 0.736
0.806 0.396 0.942
0.306 0.604 0.558
0.300 0.227 0.956
0.501 0.126 0.264
0.001 0.874 0.236
0.393 0.378 0.063
0.107 0.378 0.563
0.893 0.622 0.437
0.607 0.622 0.937

---

2.
r2SCAN PPd3, relaxed; spin magnetization = 0.00 μB per cell; space group = Pnma; formation energy from the elements = -0.49 eV/atom; E_tot = -319.5 eV/cell
1.0
5.230 0.000 0.000
0.000 6.017 0.000
0.000 0.000 7.467
Pd P
12 4
Direct
0.165 0.673 0.437
0.835 0.327 0.563
0.335 0.173 0.063
0.869 0.028 0.250
0.665 0.827 0.563
0.835 0.327 0.937
0.335 0.173 0.437
0.665 0.827 0.937
0.131 0.972 0.750
0.631 0.528 0.250
0.165 0.673 0.063
0.369 0.472 0.750
0.459 0.881 0.250
0.541 0.119 0.750
0.041 0.381 0.250
0.959 0.619 0.750

---

3.
r2SCAN P2Pd, relaxed; spin magnetization = 0.00 μB per cell; space group = C2/c; formation energy from the elements = -0.49 eV/atom; E_tot = -84.9 eV/cell
1.0
4.201 -0.040 -1.671
-1.256 4.148 -1.288
-0.022 0.023 5.808
Pd P
2 4
Direct
0.500 0.500 0.500
0.500 0.000 0.000
0.976 0.939 0.666
0.024 0.061 0.334
0.227 0.690 0.166
0.773 0.310 0.834

---

4.
r2SCAN Rb2P2Pd, relaxed; spin magnetization = 0.00 μB per cell; space group = Cmcm; formation energy from the elements = -0.61 eV/atom; E_tot = -143.8 eV/cell
1.0
-3.280 0.619 7.262
-0.333 -5.837 -5.448
4.905 -2.550 2.432
P Rb Pd
4 4 2
Direct
0.269 0.058 0.250
0.058 0.269 0.750
0.731 0.942 0.750
0.942 0.731 0.250
0.580 0.420 0.750
0.788 0.212 0.250
0.212 0.788 0.750
0.420 0.580 0.250
0.000 0.000 0.500
0.000 0.000 0.000

---

5.
r2SCAN SmPPd, relaxed; spin magnetization = 0.00 μB per cell; space group = P6_3/mmc; formation energy from the elements = -1.38 eV/atom; E_tot = -131.7 eV/cell
1.0
-2.357 2.101 2.755
0.603 -4.120 0.471
6.279 1.410 4.295
Pd Sm P
2 2 2
Direct
0.333 0.667 0.250
0.667 0.333 0.750
0.000 0.000 0.000
0.000 0.000 0.500
0.333 0.667 0.750
0.667 0.333 0.250

---

6.
r2SCAN Sr2P3Pd3, relaxed; spin magnetization = 0.00 μB per cell; space group = Pmmm; formation energy from the elements = -0.98 eV/atom; E_tot = -536.1 eV/cell
1.0
-3.064 2.320 1.690
-1.854 -3.526 1.478
18.074 2.684 29.077
P Pd Sr
12 12 8
Direct
0.000 0.500 0.288
0.500 0.000 0.211
0.500 0.000 0.854
0.000 0.500 0.354
0.000 0.500 0.646
0.000 0.000 0.960
0.000 0.500 0.712
0.500 0.000 0.146
0.500 0.500 0.540
0.500 0.500 0.460
0.000 0.000 0.040
0.500 0.000 0.789
0.000 0.000 0.249
0.000 0.000 0.751
0.500 0.500 0.610
0.000 0.000 0.110
0.500 0.500 0.750
0.500 0.500 0.390
0.000 0.500 0.500
0.000 0.500 0.000
0.500 0.500 0.250
0.000 0.000 0.890
0.500 0.000 0.500
0.500 0.000 0.000
0.000 0.000 0.427
0.000 0.500 0.177
0.500 0.000 0.678
0.500 0.000 0.322
0.500 0.500 0.927
0.000 0.000 0.573
0.500 0.500 0.073
0.000 0.500 0.823

---

7.
r2SCAN Sr4P5Pd5, relaxed; spin magnetization = 0.00 μB per cell; space group = Cmcm; formation energy from the elements = -1.03 eV/atom; E_tot = -469.8 eV/cell
1.0
10.625 3.120 11.427
-10.998 1.025 -11.455
-6.259 -0.523 5.962
Sr P Pd
8 10 10
Direct
0.194 0.806 0.504
0.806 0.194 0.496
0.421 0.579 0.500
0.194 0.806 0.996
0.579 0.421 0.000
0.806 0.194 0.004
0.421 0.579 0.000
0.579 0.421 0.500
0.271 0.729 0.750
0.044 0.956 0.250
0.957 0.043 0.250
0.729 0.271 0.250
0.657 0.343 0.250
0.956 0.044 0.750
0.656 0.344 0.750
0.343 0.657 0.750
0.043 0.957 0.750
0.344 0.656 0.250
0.118 0.882 0.750
0.000 0.000 0.500
0.266 0.734 0.250
0.500 0.500 0.250
0.500 0.500 0.750
0.120 0.880 0.250
0.880 0.120 0.750
0.882 0.118 0.250
0.734 0.266 0.750
0.000 0.000 0.000

---

8.
r2SCAN Tm3P6Pd20, relaxed; spin magnetization = 0.00 μB per cell; space group = Fm-3m; formation energy from the elements = -0.76 eV/atom; E_tot = -640.7 eV/cell
1.0
-6.670 -3.908 -3.753
-7.616 -0.262 3.971
-6.573 4.652 -3.001
Pd P Tm
20 6 3
Direct
0.655 0.000 0.345
0.655 0.000 0.000
0.384 0.384 0.384
0.345 0.000 0.000
0.384 0.384 0.849
0.616 0.616 0.616
0.000 0.345 0.655
0.616 0.616 0.151
0.655 0.345 0.000
0.384 0.849 0.384
0.000 0.655 0.000
0.345 0.655 0.000
0.000 0.345 0.000
0.000 0.000 0.655
0.616 0.151 0.616
0.000 0.000 0.345
0.000 0.655 0.345
0.849 0.384 0.384
0.345 0.000 0.655
0.151 0.616 0.616
0.737 0.263 0.263
0.737 0.263 0.737
0.263 0.737 0.263
0.737 0.737 0.263
0.263 0.263 0.737
0.263 0.737 0.737
0.750 0.750 0.750
0.000 0.000 0.000
0.250 0.250 0.250

---

9.
r2SCAN TmPPd, relaxed; spin magnetization = 0.00 μB per cell; space group = Pnma; formation energy from the elements = -1.38 eV/atom; E_tot = -284.9 eV/cell
1.0
-1.756 2.681 2.309
-1.446 -4.884 4.571
6.679 1.331 3.535
Tm P Pd
4 4 4
Direct
0.250 0.033 0.312
0.250 0.533 0.188
0.750 0.967 0.688
0.750 0.467 0.812
0.750 0.754 0.377
0.250 0.746 0.877
0.250 0.246 0.623
0.750 0.254 0.123
0.750 0.852 0.061
0.750 0.352 0.439
0.250 0.648 0.561
0.250 0.148 0.939

---

10.
r2SCAN YP2Pd2, relaxed; spin magnetization = 0.00 μB per cell; space group = I4/mmm; formation energy from the elements = -1.00 eV/atom; E_tot = -89.2 eV/cell
1.0
2.637 -4.242 2.773
4.931 1.060 2.682
-5.237 2.261 -0.322
P Pd Y
2 2 1
Direct
0.389 0.389 0.000
0.611 0.611 0.000
0.750 0.250 0.500
0.250 0.750 0.500
0.000 0.000 0.000

---

11.
r2SCAN ZnPPd5, relaxed; spin magnetization = 0.00 μB per cell; space group = P4/mmm; formation energy from the elements = -0.49 eV/atom; E_tot = -136.2 eV/cell
1.0
3.891 0.000 0.000
0.000 3.891 0.000
0.000 0.000 6.829
Zn Pd P
1 5 1
Direct
0.500 0.500 0.000
0.500 0.000 0.708
0.000 0.500 0.708
0.500 0.000 0.292
0.000 0.500 0.292
0.000 0.000 0.000
0.000 0.000 0.500

---

12.
r2SCAN PmP3, relaxed; spin magnetization = 0.00 μB per cell; space group = I4/mmm; formation energy from the elements = -0.31 eV/atom; E_tot = -57.8 eV/cell
1.0
-1.980 1.980 4.865
1.980 -1.980 4.865
1.980 1.980 -4.865
Pm P
1 3
Direct
0.000 0.000 0.000
0.750 0.250 0.500
0.500 0.500 0.000
0.250 0.750 0.500